Density functional theory data (PBE-GGA) for crystalline HfGeRh at its relaxed geometry. Values from VASP.

Quantum ESPRESSO input file:
```
&SYSTEM
  ibrav = 0, nat = 12, ntyp = 3
/
ATOMIC_SPECIES
Hf 178.49 Hf.upf
Ge 72.64 Ge.upf
Rh 102.91 Rh.upf
CELL_PARAMETERS angstrom
4.0102 0.0000 0.0000
0.0000 6.5522 0.0000
0.0000 0.0000 7.5892
ATOMIC_POSITIONS crystal
Hf 0.2500 0.0217 0.3134
Hf 0.2500 0.5217 0.1866
Hf 0.7500 0.9783 0.6866
Hf 0.7500 0.4783 0.8134
Ge 0.2500 0.2678 0.6188
Ge 0.2500 0.7678 0.8812
Ge 0.7500 0.7322 0.3812
Ge 0.7500 0.2322 0.1188
Rh 0.2500 0.1517 0.9357
Rh 0.2500 0.6517 0.5643
Rh 0.7500 0.8483 0.0643
Rh 0.7500 0.3483 0.4357
```

Properties
The volume comes out at 16.618 A^3/atom. As for the energy of formation from the pure elements: -0.88 eV per atom. Its crystal system is orthorhombic. Its space-group type is Pnma, No. 62. Its total energy is -8.1946 eV/atom.